Crystalline Ho at its relaxed geometry, computed with GGA-PBE.

Cell: 3.524 3.524 3.524 Å, 60.00 60.00 60.00°
Atoms (fractional coordinates):
Ho 0.000 0.000 0.000

Space group: No. 225
Formation energy from the elements in eV/atom: 0.024
Energy above the most stable polymorph in this dataset in meV/atom: 23.7
Raw total energy in eV/atom: -4.56